Material: Mg6SnW
Method: DFT, GGA-PBE
State: optimized geometry

Computed properties:
excess energy over the best structure of this formula in the dataset = 0 meV/atom
energy relative to the elements = 221 meV/atom
total energy = -3.100 eV per atom
total moment = 0.0001 μB/atom

Unit cell a=4.972 b=6.215 c=10.606 alpha=90.00 beta=90.00 gamma=90.00
Fractional coordinates of all 16 atoms:
1 Mg 0.000 0.261 0.086
2 Mg 0.000 0.739 0.086
3 Mg 0.000 0.500 0.834
4 Mg 0.500 0.254 0.918
5 Mg 0.500 0.746 0.918
6 Mg 0.500 0.500 0.666
7 Mg 0.000 0.761 0.586
8 Mg 0.000 0.239 0.586
9 Mg 0.000 0.000 0.334
10 Mg 0.500 0.754 0.418
11 Mg 0.500 0.246 0.418
12 Mg 0.500 0.000 0.166
13 Sn 0.000 0.500 0.325
14 Sn 0.000 0.000 0.825
15 W 0.500 0.500 0.167
16 W 0.500 0.000 0.667